## a
DFT (GGA-PBE) results for a relaxed LiSnP2O7 crystal.

Output
calculated volume	308.4	Å³ per cell
magnetic moment	0.00	μB/cell

The structure in CIF format:
```
data_LiSnP2O7
_chemical_formula_sum 'Li2 Sn2 P4 O14'
_cell_length_a 5.069
_cell_length_b 8.951
_cell_length_c 7.195
_cell_angle_alpha 90.00
_cell_angle_beta 109.13
_cell_angle_gamma 90.00
_symmetry_space_group_name_H-M 'P 1 21 1'
_symmetry_Int_Tables_number 4
loop_
_symmetry_equiv_pos_as_xyz
'x,y,z'
'-x,y+1/2,-z'
loop_
_atom_site_label
_atom_site_fract_x
_atom_site_fract_y
_atom_site_fract_z
Li1 0.202 0.000 0.162
Sn1 0.214 0.353 0.234
P1 0.211 0.062 0.577
P2 0.396 0.669 0.036
O1 0.050 0.536 0.367
O2 0.147 0.140 0.376
O3 0.217 0.526 0.007
O4 0.222 0.814 0.007
O5 0.375 0.917 0.573
O6 0.412 0.163 0.091
O7 0.412 0.178 0.734
```

***

## b
DFT (GGA-PBE) results for a relaxed LiSnP2O7 crystal.

Output
calculated volume	606.6	Å³ per cell
magnetic moment	0.00	μB/cell

The structure in CIF format:
```
data_LiSnP2O7
_chemical_formula_sum 'Li4 Sn4 P8 O28'
_cell_length_a 5.269
_cell_length_b 8.487
_cell_length_c 14.043
_cell_angle_alpha 75.22
_cell_angle_beta 87.54
_cell_angle_gamma 88.50
_symmetry_space_group_name_H-M 'P -1'
_symmetry_Int_Tables_number 2
loop_
_symmetry_equiv_pos_as_xyz
'x,y,z'
'-x,-y,-z'
loop_
_atom_site_label
_atom_site_fract_x
_atom_site_fract_y
_atom_site_fract_z
Li1 0.198 0.155 0.336
Li2 0.251 0.217 0.831
Sn1 0.225 0.592 0.645
Sn2 0.245 0.110 0.120
P1 0.257 0.776 0.044
P2 0.274 0.287 0.514
P3 0.288 0.490 0.210
P4 0.288 0.994 0.686
O1 0.018 0.540 0.244
O2 0.030 0.200 0.948
O3 0.109 0.308 0.423
O4 0.128 0.068 0.755
O5 0.181 0.823 0.682
O6 0.196 0.399 0.579
O7 0.230 0.102 0.572
O8 0.318 0.311 0.220
O9 0.323 0.581 0.097
O10 0.359 0.802 0.938
O11 0.407 0.864 0.106
O12 0.428 0.003 0.304
O13 0.445 0.701 0.523
O14 0.499 0.451 0.732
```

***

Which of them is the least stable? Correct choice: a.

***

## a
DFT (GGA-PBE) results for a relaxed LiSnP2O7 crystal.

Output
calculated volume	600.6	Å³ per cell
magnetic moment	2.87	μB/cell

The structure in CIF format:
```
data_LiSnP2O7
_chemical_formula_sum 'Li4 Sn4 P8 O28'
_cell_length_a 8.929
_cell_length_b 5.185
_cell_length_c 14.440
_cell_angle_alpha 90.00
_cell_angle_beta 116.06
_cell_angle_gamma 90.00
_symmetry_space_group_name_H-M 'P 1 c 1'
_symmetry_Int_Tables_number 7
loop_
_symmetry_equiv_pos_as_xyz
'x,y,z'
'x,-y,z+1/2'
loop_
_atom_site_label
_atom_site_fract_x
_atom_site_fract_y
_atom_site_fract_z
Li1 0.000 0.004 0.000
Li2 0.418 0.468 0.378
Sn1 0.151 0.003 0.268
Sn2 0.697 0.489 0.817
P1 0.119 0.489 0.423
P2 0.234 0.488 0.646
P3 0.612 0.022 0.947
P4 0.732 0.010 0.177
O1 0.087 0.200 0.407
O2 0.109 0.310 0.147
O3 0.165 0.211 0.637
O4 0.206 0.396 0.862
O5 0.255 0.460 0.042
O6 0.408 0.483 0.236
O7 0.446 0.099 0.375
O8 0.606 0.003 0.557
O9 0.620 0.318 0.930
O10 0.645 0.145 0.731
O11 0.748 0.299 0.207
O12 0.762 0.120 0.446
O13 0.895 0.110 0.690
O14 0.959 0.357 0.908
```

***

## b
DFT (GGA-PBE) results for a relaxed LiSnP2O7 crystal.

Output
calculated volume	1148.3	Å³ per cell
magnetic moment	0.00	μB/cell

The structure in CIF format:
```
data_LiSnP2O7
_chemical_formula_sum 'Li8 Sn8 P16 O56'
_cell_length_a 7.120
_cell_length_b 12.909
_cell_length_c 12.494
_cell_angle_alpha 90.00
_cell_angle_beta 90.44
_cell_angle_gamma 90.00
_symmetry_space_group_name_H-M 'C 1 c 1'
_symmetry_Int_Tables_number 9
loop_
_symmetry_equiv_pos_as_xyz
'x,y,z'
'x,-y,z+1/2'
'x+1/2,y+1/2,z'
'x+1/2,-y+1/2,z+1/2'
loop_
_atom_site_label
_atom_site_fract_x
_atom_site_fract_y
_atom_site_fract_z
Li1 0.000 0.214 0.000
Li2 0.018 0.229 0.264
Sn1 0.163 0.001 0.375
Sn2 0.370 0.490 0.131
P1 0.179 0.405 0.366
P2 0.224 0.378 0.901
P3 0.285 0.121 0.607
P4 0.337 0.099 0.142
O1 0.000 0.334 0.617
O2 0.023 0.329 0.379
O3 0.089 0.479 0.880
O4 0.108 0.099 0.678
O5 0.117 0.282 0.878
O6 0.161 0.099 0.063
O7 0.233 0.119 0.487
O8 0.251 0.113 0.255
O9 0.251 0.399 0.249
O10 0.283 0.382 0.021
O11 0.346 0.404 0.447
O12 0.397 0.216 0.635
O13 0.399 0.400 0.828
O14 0.417 0.021 0.634
```

***

Which of them is the least stable? Correct choice: b.

***

## a
DFT (GGA-PBE) results for a relaxed LiSnP2O7 crystal.

Output
calculated volume	289.9	Å³ per cell
magnetic moment	0.00	μB/cell

The structure in CIF format:
```
data_LiSnP2O7
_chemical_formula_sum 'Li2 Sn2 P4 O14'
_cell_length_a 5.120
_cell_length_b 6.665
_cell_length_c 9.678
_cell_angle_alpha 109.68
_cell_angle_beta 91.53
_cell_angle_gamma 109.33
_symmetry_space_group_name_H-M 'P -1'
_symmetry_Int_Tables_number 2
loop_
_symmetry_equiv_pos_as_xyz
'x,y,z'
'-x,-y,-z'
loop_
_atom_site_label
_atom_site_fract_x
_atom_site_fract_y
_atom_site_fract_z
Li1 0.060 0.329 0.041
Sn1 0.148 0.121 0.336
P1 0.289 0.672 0.379
P2 0.497 0.164 0.859
O1 0.084 0.805 0.406
O2 0.147 0.417 0.275
O3 0.188 0.097 0.882
O4 0.291 0.626 0.024
O5 0.409 0.044 0.178
O6 0.440 0.700 0.525
O7 0.475 0.211 0.704
```

***

## b
DFT (GGA-PBE) results for a relaxed LiSnP2O7 crystal.

Output
calculated volume	546.0	Å³ per cell
magnetic moment	0.00	μB/cell

The structure in CIF format:
```
data_LiSnP2O7
_chemical_formula_sum 'Li4 Sn4 P8 O28'
_cell_length_a 7.304
_cell_length_b 8.794
_cell_length_c 9.225
_cell_angle_alpha 90.00
_cell_angle_beta 112.85
_cell_angle_gamma 90.00
_symmetry_space_group_name_H-M 'P 1 21/c 1'
_symmetry_Int_Tables_number 14
loop_
_symmetry_equiv_pos_as_xyz
'x,y,z'
'-x,-y,-z'
'-x,y+1/2,-z+1/2'
'x,-y+1/2,z+1/2'
loop_
_atom_site_label
_atom_site_fract_x
_atom_site_fract_y
_atom_site_fract_z
Li1 0.212 0.048 0.327
Sn1 0.249 0.078 0.882
P1 0.036 0.726 0.970
P2 0.433 0.740 0.252
O1 0.006 0.093 0.648
O2 0.041 0.620 0.396
O3 0.112 0.225 0.447
O4 0.250 0.677 0.099
O5 0.381 0.613 0.806
O6 0.387 0.240 0.297
O7 0.471 0.603 0.374
```

***

Which of them is the least stable? Correct choice: a.

***

## a
DFT (GGA-PBE) results for a relaxed LiSnP2O7 crystal.

Output
calculated volume	276.2	Å³ per cell
magnetic moment	0.00	μB/cell

The structure in CIF format:
```
data_LiSnP2O7
_chemical_formula_sum 'Li2 Sn2 P4 O14'
_cell_length_a 6.663
_cell_length_b 6.737
_cell_length_c 6.821
_cell_angle_alpha 66.62
_cell_angle_beta 80.89
_cell_angle_gamma 81.40
_symmetry_space_group_name_H-M 'P -1'
_symmetry_Int_Tables_number 2
loop_
_symmetry_equiv_pos_as_xyz
'x,y,z'
'-x,-y,-z'
loop_
_atom_site_label
_atom_site_fract_x
_atom_site_fract_y
_atom_site_fract_z
Li1 0.119 0.161 0.357
Sn1 0.325 0.387 0.752
P1 0.153 0.725 0.266
P2 0.392 0.851 0.824
O1 0.012 0.583 0.229
O2 0.050 0.878 0.370
O3 0.259 0.877 0.037
O4 0.275 0.712 0.758
O5 0.335 0.569 0.386
O6 0.392 0.253 0.112
O7 0.394 0.087 0.664
```

***

## b
DFT (GGA-PBE) results for a relaxed LiSnP2O7 crystal.

Output
calculated volume	299.6	Å³ per cell
magnetic moment	2.00	μB/cell

The structure in CIF format:
```
data_LiSnP2O7
_chemical_formula_sum 'Li2 Sn2 P4 O14'
_cell_length_a 5.224
_cell_length_b 7.163
_cell_length_c 8.673
_cell_angle_alpha 67.53
_cell_angle_beta 87.99
_cell_angle_gamma 87.80
_symmetry_space_group_name_H-M 'P 1'
_symmetry_Int_Tables_number 1
loop_
_symmetry_equiv_pos_as_xyz
'x,y,z'
loop_
_atom_site_label
_atom_site_fract_x
_atom_site_fract_y
_atom_site_fract_z
Li1 0.000 0.000 0.000
Li2 0.464 0.330 0.430
Sn1 0.463 0.950 0.274
Sn2 0.955 0.409 0.720
P1 0.443 0.721 0.693
P2 0.494 0.052 0.820
P3 0.938 0.280 0.179
P4 0.974 0.607 0.301
O1 0.149 0.160 0.300
O2 0.156 0.690 0.684
O3 0.258 0.606 0.339
O4 0.343 0.198 0.673
O5 0.373 0.029 0.991
O6 0.475 0.823 0.827
O7 0.562 0.867 0.529
O8 0.593 0.519 0.768
O9 0.665 0.218 0.252
O10 0.782 0.096 0.806
O11 0.813 0.475 0.453
O12 0.860 0.824 0.214
O13 0.952 0.514 0.158
O14 0.973 0.278 0.005
```

***

Which of them is the least stable? Correct choice: b.